(1)
Here is a relaxed structure of Na3DyCl6 from the Materials Project. Energies are from GGA-PBE.

Unit cell a=10.6297 b=10.6297 c=10.6297 alpha=90.00 beta=90.00 gamma=90.00
Space group Fm-3m (No. 225)
Unique sites:
Na1 0.0000 0.0000 0.0000
Na2 0.2500 0.2500 0.2500
Dy1 0.0000 0.0000 0.5000
Cl1 0.0000 0.0000 0.2538

Calculated values
formation enthalpy at 0 K	-2229.1	meV per atom
E (MP2020)	-4.196	eV/atom
size of the total moment	0.1	μB/cell

=====

(2)
Here is a relaxed structure of DyClO from the Materials Project. Energies are from GGA-PBE.

Unit cell a=3.7939 b=4.1908 c=9.4715 alpha=90.00 beta=90.00 gamma=90.00
Space group Pmmn (No. 59, origin choice 2)
Unique sites:
Dy1 0.2500 0.2500 0.1126
Cl1 0.2500 0.7500 0.6861
O1 0.2500 0.7500 0.0266

Calculated values
formation enthalpy at 0 K	-3301.4	meV per atom
E (MP2020)	-7.102	eV/atom
size of the total moment	0.0	μB/cell

=====

(3)
Here is a relaxed structure of DyClO from the Materials Project. Energies are from GGA-PBE.

Unit cell a=3.9102 b=3.9102 c=6.7236 alpha=90.00 beta=90.00 gamma=90.00
Space group P4/nmm (No. 129, origin choice 2)
Unique sites:
Dy1 0.2500 0.2500 0.1669
Cl1 0.2500 0.2500 0.6278
O1 0.2500 0.7500 0.0000

Calculated values
formation enthalpy at 0 K	-3310.6	meV per atom
E (MP2020)	-7.112	eV/atom
size of the total moment	0.0	μB/cell

=====

(4)
Here is a relaxed structure of DyClO2 from the Materials Project. Energies are from GGA-PBE.

Unit cell a=6.4112 b=3.5311 c=6.6877 alpha=90.00 beta=113.80 gamma=90.00
Space group P2_1/m (No. 11)
Unique sites:
Dy1 0.1545 0.2500 0.2687
Cl1 0.4938 0.7500 0.2799
O1 0.0543 0.2500 0.8935
O2 0.0577 0.7500 0.5264

Calculated values
formation enthalpy at 0 K	-2147.4	meV per atom
E (MP2020)	-6.235	eV/atom
size of the total moment	0.0	μB/cell

=====

(5)
Here is a relaxed structure of DyClO from the Materials Project. Energies are from GGA-PBE.

Unit cell a=3.8186 b=3.8186 c=28.4760 alpha=90.00 beta=90.00 gamma=120.00
Space group R-3m (No. 166, hexagonal axes)
Unique sites:
Dy1 0.0000 0.0000 0.2169
Cl1 0.0000 0.0000 0.3888
O1 0.0000 0.0000 0.1368

Calculated values
formation enthalpy at 0 K	-3350.3	meV per atom
E (MP2020)	-7.151	eV/atom

=====

(6)
Here is a relaxed structure of Dy2Cl2O from the Materials Project. Energies are from GGA-PBE.

Unit cell a=4.1115 b=4.1115 c=13.0066 alpha=90.00 beta=90.00 gamma=90.00
Space group P4/mmm (No. 123)
Unique sites:
Dy1 0.0000 0.0000 0.1586
Cl1 0.0000 0.0000 0.3482
O1 0.0000 0.0000 0.0000

Calculated values
formation enthalpy at 0 K	-1480.4	meV per atom
E (MP2020)	-5.052	eV/atom
size of the total moment	0.0	μB/cell

=====

(7)
Here is a relaxed structure of DySeClO3 from the Materials Project. Energies are from GGA-PBE.

Unit cell a=7.2981 b=7.0225 c=8.8878 alpha=90.00 beta=90.00 gamma=90.00
Space group Pnma (No. 62)
Unique sites:
Dy1 0.1053 0.2500 0.0390
Se1 0.2093 0.2500 0.6326
Cl1 0.0571 0.7500 0.6820
O1 0.1416 0.5727 0.0672
O2 0.2483 0.7500 0.3208

Calculated values
formation enthalpy at 0 K	-2387.6	meV per atom
E (MP2020)	-6.520	eV/atom
size of the total moment	0.0	μB/cell

=====

(8)
Here is a relaxed structure of Dy3Si2Cl5O6 from the Materials Project. Energies are from GGA-PBE.

Unit cell a=10.6718 b=10.4116 c=11.7045 alpha=90.00 beta=103.24 gamma=90.00
Space group C2/m (No. 12)
Unique sites:
Dy1 0.1673 0.2487 0.1696
Dy2 0.2500 0.2500 0.5000
Si1 0.0363 0.1465 0.6447
Cl1 0.1055 0.2209 0.9209
Cl2 0.1219 0.5000 0.1430
Cl3 0.1839 0.5000 0.4970
Cl4 0.2209 0.0000 0.1633
O1 0.0000 0.1423 0.5000
O2 0.0483 0.0000 0.6952
O3 0.0880 0.2203 0.3279
O4 0.1746 0.2196 0.6721

Calculated values
formation enthalpy at 0 K	-3039.4	meV per atom
E (MP2020)	-7.014	eV/atom
size of the total moment	0.0	μB/cell